[1]
Compound: TaVCo
Source: Materials Project
Functional: PBE
Structure: relaxed

**DFT total energy**: -114.802 eV for the cell shown
**Formation energy**: -0.22 eV per atom

a = 8.090 Å, b = 4.830 Å, c = 4.830 Å
α = 61.70°, β = 90.00°, γ = 90.00°
Fractional positions:
Ta 0.183 0.000 0.000
Ta 0.307 0.333 0.333
Ta 0.693 0.333 0.333
Ta 0.817 0.000 0.000
V 0.000 0.504 0.504
V 0.500 0.331 0.837
V 0.500 0.837 0.331
V 0.500 0.842 0.842
Co 0.000 0.013 0.507
Co 0.000 0.507 0.013
Co 0.242 0.670 0.670
Co 0.758 0.670 0.670

=====

[2]
Compound: ZrTaCo4
Source: Materials Project
Functional: PBE
Structure: relaxed

**DFT total energy**: -50.252 eV for the cell shown
**Formation energy**: -0.24 eV per atom

a = 4.830 Å, b = 4.830 Å, c = 4.830 Å
α = 60.00°, β = 60.00°, γ = 60.00°
Fractional positions:
Zr 0.000 0.000 0.000
Ta 0.750 0.750 0.750
Co 0.375 0.375 0.375
Co 0.375 0.375 0.875
Co 0.375 0.875 0.375
Co 0.875 0.375 0.375

=====

[3]
Compound: TbCo3
Source: Materials Project
Functional: PBE
Structure: relaxed

**DFT total energy**: -79.801 eV for the cell shown
**Formation energy**: -0.16 eV per atom

a = 8.626 Å, b = 8.626 Å, c = 8.626 Å
α = 33.52°, β = 33.52°, γ = 33.52°
Fractional positions:
Tb 0.000 0.000 0.000
Tb 0.140 0.140 0.140
Tb 0.860 0.860 0.860
Co 0.081 0.580 0.580
Co 0.333 0.333 0.333
Co 0.420 0.420 0.919
Co 0.420 0.919 0.420
Co 0.500 0.500 0.500
Co 0.580 0.081 0.580
Co 0.580 0.580 0.081
Co 0.667 0.667 0.667
Co 0.919 0.420 0.420

=====

[4]
Compound: Tb2Co17
Source: Materials Project
Functional: PBE
Structure: relaxed

**DFT total energy**: -131.884 eV for the cell shown
**Formation energy**: -0.09 eV per atom

a = 6.286 Å, b = 6.286 Å, c = 6.286 Å
α = 82.69°, β = 82.69°, γ = 82.69°
Fractional positions:
Tb 0.155 0.155 0.155
Tb 0.845 0.845 0.845
Co 0.000 0.500 0.500
Co 0.155 0.155 0.650
Co 0.155 0.650 0.155
Co 0.211 0.500 0.789
Co 0.211 0.789 0.500
Co 0.350 0.845 0.845
Co 0.404 0.404 0.404
Co 0.500 0.000 0.500
Co 0.500 0.211 0.789
Co 0.500 0.500 0.000
Co 0.500 0.789 0.211
Co 0.596 0.596 0.596
Co 0.650 0.155 0.155
Co 0.789 0.211 0.500
Co 0.789 0.500 0.211
Co 0.845 0.350 0.845
Co 0.845 0.845 0.350

=====

[5]
Compound: Tb12Co7
Source: Materials Project
Functional: PBE
Structure: relaxed

**DFT total energy**: -216.832 eV for the cell shown
**Formation energy**: -0.16 eV per atom

a = 8.319 Å, b = 11.304 Å, c = 11.081 Å
α = 90.00°, β = 125.48°, γ = 90.00°
Fractional positions:
Tb 0.002 0.160 0.342
Tb 0.002 0.340 0.842
Tb 0.238 0.570 0.809
Tb 0.238 0.930 0.309
Tb 0.251 0.199 0.176
Tb 0.251 0.301 0.676
Tb 0.266 0.706 0.539
Tb 0.266 0.794 0.039
Tb 0.268 0.071 0.914
Tb 0.268 0.429 0.414
Tb 0.342 0.504 0.146
Tb 0.342 0.996 0.646
Tb 0.658 0.004 0.354
Tb 0.658 0.496 0.854
Tb 0.732 0.571 0.586
Tb 0.732 0.929 0.086
Tb 0.734 0.206 0.961
Tb 0.734 0.294 0.461
Tb 0.749 0.699 0.324
Tb 0.749 0.801 0.824
Tb 0.762 0.070 0.691
Tb 0.762 0.430 0.191
Tb 0.998 0.660 0.158
Tb 0.998 0.840 0.658
Co 0.000 0.000 0.000
Co 0.000 0.500 0.500
Co 0.004 0.100 0.600
Co 0.004 0.400 0.100
Co 0.401 0.689 0.341
Co 0.401 0.811 0.841
Co 0.406 0.178 0.472
Co 0.406 0.322 0.972
Co 0.594 0.678 0.028
Co 0.594 0.822 0.528
Co 0.599 0.189 0.159
Co 0.599 0.311 0.659
Co 0.996 0.600 0.900
Co 0.996 0.900 0.400

=====

[6]
Compound: Tb2Co17
Source: Materials Project
Functional: PBE
Structure: relaxed

**DFT total energy**: -263.756 eV for the cell shown
**Formation energy**: -0.09 eV per atom

a = 8.299 Å, b = 8.299 Å, c = 8.110 Å
α = 90.00°, β = 90.00°, γ = 120.00°
Fractional positions:
Tb 0.000 0.000 0.250
Tb 0.000 0.000 0.750
Tb 0.333 0.667 0.250
Tb 0.667 0.333 0.750
Co 0.000 0.500 0.000
Co 0.000 0.500 0.500
Co 0.048 0.376 0.750
Co 0.048 0.671 0.750
Co 0.167 0.333 0.021
Co 0.167 0.333 0.479
Co 0.167 0.833 0.021
Co 0.167 0.833 0.479
Co 0.329 0.376 0.750
Co 0.329 0.952 0.750
Co 0.333 0.167 0.521
Co 0.333 0.167 0.979
Co 0.333 0.667 0.607
Co 0.333 0.667 0.893
Co 0.376 0.048 0.250
Co 0.376 0.329 0.250
Co 0.500 0.000 0.000
Co 0.500 0.000 0.500
Co 0.500 0.500 0.000
Co 0.500 0.500 0.500
Co 0.624 0.671 0.750
Co 0.624 0.952 0.750
Co 0.667 0.333 0.107
Co 0.667 0.333 0.393
Co 0.667 0.833 0.021
Co 0.667 0.833 0.479
Co 0.671 0.048 0.250
Co 0.671 0.624 0.250
Co 0.833 0.167 0.521
Co 0.833 0.167 0.979
Co 0.833 0.667 0.521
Co 0.833 0.667 0.979
Co 0.952 0.329 0.250
Co 0.952 0.624 0.250

=====

[7]
Compound: Tb4Co3
Source: Materials Project
Functional: PBE
Structure: relaxed

**DFT total energy**: -122.737 eV for the cell shown
**Formation energy**: -0.15 eV per atom

a = 11.285 Å, b = 11.285 Å, c = 4.076 Å
α = 90.00°, β = 90.00°, γ = 120.00°
Fractional positions:
Tb 0.024 0.246 0.250
Tb 0.135 0.620 0.250
Tb 0.222 0.976 0.250
Tb 0.246 0.222 0.750
Tb 0.380 0.515 0.250
Tb 0.485 0.865 0.250
Tb 0.515 0.135 0.750
Tb 0.620 0.485 0.750
Tb 0.754 0.778 0.250
Tb 0.778 0.024 0.750
Tb 0.865 0.380 0.750
Tb 0.976 0.754 0.750
Co 0.000 0.000 0.500
Co 0.157 0.438 0.747
Co 0.281 0.843 0.747
Co 0.333 0.667 0.748
Co 0.438 0.281 0.253
Co 0.562 0.719 0.747
Co 0.667 0.333 0.252
Co 0.719 0.157 0.253
Co 0.843 0.562 0.253

=====

[8]
Compound: TbCo2
Source: Materials Project
Functional: PBE
Structure: relaxed

**DFT total energy**: -38.798 eV for the cell shown
**Formation energy**: -0.18 eV per atom

a = 5.081 Å, b = 5.081 Å, c = 5.081 Å
α = 60.00°, β = 60.00°, γ = 60.00°
Fractional positions:
Tb 0.125 0.125 0.125
Tb 0.875 0.875 0.875
Co 0.000 0.500 0.500
Co 0.500 0.000 0.500
Co 0.500 0.500 0.000
Co 0.500 0.500 0.500

=====

[9]
Compound: CoTe2
Source: Materials Project
Functional: PBE
Structure: relaxed

**DFT total energy**: -14.015 eV for the cell shown
**Formation energy**: -0.49 eV per atom
**Corrected total energy (MP2020 scheme)**: -14.86 eV per cell

a = 3.785 Å, b = 3.785 Å, c = 5.561 Å
α = 90.00°, β = 90.00°, γ = 120.00°
Fractional positions:
Co 0.000 0.000 0.000
Te 0.333 0.667 0.761
Te 0.667 0.333 0.239

=====

[10]
Compound: CoTe2
Source: Materials Project
Functional: PBE
Structure: relaxed

**DFT total energy**: -55.659 eV for the cell shown
**Formation energy**: -0.45 eV per atom
**Corrected total energy (MP2020 scheme)**: -59.04 eV per cell

a = 6.312 Å, b = 6.312 Å, c = 6.312 Å
α = 90.00°, β = 90.00°, γ = 90.00°
Fractional positions:
Co 0.000 0.000 0.000
Co 0.000 0.500 0.500
Co 0.500 0.000 0.500
Co 0.500 0.500 0.000
Te 0.134 0.634 0.866
Te 0.134 0.866 0.366
Te 0.366 0.134 0.866
Te 0.366 0.366 0.366
Te 0.634 0.634 0.634
Te 0.634 0.866 0.134
Te 0.866 0.134 0.634
Te 0.866 0.366 0.134

=====

[11]
Compound: CoTe2
Source: Materials Project
Functional: PBE
Structure: relaxed

**DFT total energy**: -27.911 eV for the cell shown
**Formation energy**: -0.47 eV per atom
**Corrected total energy (MP2020 scheme)**: -29.60 eV per cell

a = 5.342 Å, b = 6.286 Å, c = 3.918 Å
α = 90.00°, β = 90.00°, γ = 90.00°
Fractional positions:
Co 0.000 0.000 0.000
Co 0.500 0.500 0.500
Te 0.229 0.362 0.000
Te 0.271 0.862 0.500
Te 0.729 0.138 0.500
Te 0.771 0.638 0.000

=====

[12]
Compound: VCoTe
Source: Materials Project
Functional: PBE
Structure: relaxed

**DFT total energy**: -19.399 eV for the cell shown
**Formation energy**: -0.16 eV per atom
**Corrected total energy (MP2020 scheme)**: -19.82 eV per cell

a = 4.147 Å, b = 4.147 Å, c = 4.147 Å
α = 60.00°, β = 60.00°, γ = 60.00°
Fractional positions:
V 0.000 0.000 0.000
Co 0.250 0.250 0.250
Te 0.500 0.500 0.500

=====

[13]
Compound: Y5Co2Te2
Source: Materials Project
Functional: PBE
Structure: relaxed

**DFT total energy**: -119.001 eV for the cell shown
**Formation energy**: -0.83 eV per atom
**Corrected total energy (MP2020 scheme)**: -120.69 eV per cell

a = 7.803 Å, b = 7.803 Å, c = 15.021 Å
α = 90.00°, β = 90.00°, γ = 150.77°
Fractional positions:
Y 0.039 0.961 0.624
Y 0.039 0.961 0.876
Y 0.258 0.742 0.129
Y 0.258 0.742 0.371
Y 0.395 0.605 0.750
Y 0.605 0.395 0.250
Y 0.742 0.258 0.629
Y 0.742 0.258 0.871
Y 0.961 0.039 0.124
Y 0.961 0.039 0.376
Co 0.179 0.821 0.750
Co 0.409 0.591 0.250
Co 0.591 0.409 0.750
Co 0.821 0.179 0.250
Te 0.383 0.617 0.539
Te 0.383 0.617 0.961
Te 0.617 0.383 0.039
Te 0.617 0.383 0.461

=====

[14]
Compound: Th7Co3
Source: Materials Project
Functional: PBE
Structure: relaxed

**DFT total energy**: -151.477 eV for the cell shown
**Formation energy**: -0.25 eV per atom

a = 9.752 Å, b = 9.752 Å, c = 6.184 Å
α = 90.00°, β = 90.00°, γ = 120.00°
Fractional positions:
Th 0.088 0.544 0.000
Th 0.126 0.252 0.695
Th 0.126 0.874 0.695
Th 0.252 0.126 0.195
Th 0.333 0.667 0.499
Th 0.456 0.544 0.000
Th 0.456 0.912 0.000
Th 0.544 0.088 0.500
Th 0.544 0.456 0.500
Th 0.667 0.333 0.999
Th 0.748 0.874 0.695
Th 0.874 0.126 0.195
Th 0.874 0.748 0.195
Th 0.912 0.456 0.500
Co 0.185 0.371 0.250
Co 0.185 0.815 0.250
Co 0.371 0.185 0.750
Co 0.629 0.815 0.250
Co 0.815 0.185 0.750
Co 0.815 0.629 0.750

=====

[15]
Compound: ThCo3
Source: Materials Project
Functional: PBE
Structure: relaxed

**DFT total energy**: -88.353 eV for the cell shown
**Formation energy**: -0.18 eV per atom

a = 8.948 Å, b = 8.948 Å, c = 8.948 Å
α = 32.25°, β = 32.25°, γ = 32.25°
Fractional positions:
Th 0.000 0.000 0.000
Th 0.137 0.137 0.137
Th 0.863 0.863 0.863
Co 0.082 0.579 0.579
Co 0.333 0.333 0.333
Co 0.421 0.421 0.918
Co 0.421 0.918 0.421
Co 0.500 0.500 0.500
Co 0.579 0.082 0.579
Co 0.579 0.579 0.082
Co 0.667 0.667 0.667
Co 0.918 0.421 0.421

=====

[16]
Compound: TiCo2
Source: Materials Project
Functional: PBE
Structure: relaxed

**DFT total energy**: -184.212 eV for the cell shown
**Formation energy**: -0.30 eV per atom

a = 4.705 Å, b = 4.705 Å, c = 15.358 Å
α = 90.00°, β = 90.00°, γ = 120.00°
Fractional positions:
Ti 0.000 0.000 0.092
Ti 0.000 0.000 0.408
Ti 0.000 0.000 0.592
Ti 0.000 0.000 0.908
Ti 0.333 0.667 0.156
Ti 0.333 0.667 0.344
Ti 0.667 0.333 0.656
Ti 0.667 0.333 0.844
Co 0.000 0.500 0.000
Co 0.000 0.500 0.500
Co 0.163 0.325 0.750
Co 0.163 0.837 0.750
Co 0.325 0.163 0.250
Co 0.333 0.667 0.626
Co 0.333 0.667 0.874
Co 0.500 0.000 0.000
Co 0.500 0.000 0.500
Co 0.500 0.500 0.000
Co 0.500 0.500 0.500
Co 0.667 0.333 0.126
Co 0.667 0.333 0.374
Co 0.675 0.837 0.750
Co 0.837 0.163 0.250
Co 0.837 0.675 0.250

=====

[17]
Compound: Ti2Co
Source: Materials Project
Functional: PBE
Structure: relaxed

**DFT total energy**: -43.160 eV for the cell shown
**Formation energy**: 0.44 eV per atom

a = 5.007 Å, b = 5.007 Å, c = 5.007 Å
α = 60.00°, β = 60.00°, γ = 60.00°
Fractional positions:
Ti 0.000 0.000 0.000
Ti 0.000 0.000 0.500
Ti 0.000 0.500 0.000
Ti 0.500 0.000 0.000
Co 0.375 0.375 0.375
Co 0.625 0.625 0.625

=====

[18]
Compound: Ti2Co
Source: Materials Project
Functional: PBE
Structure: relaxed

**DFT total energy**: -190.032 eV for the cell shown
**Formation energy**: -0.28 eV per atom

a = 7.935 Å, b = 7.935 Å, c = 7.935 Å
α = 60.00°, β = 60.00°, γ = 60.00°
Fractional positions:
Ti 0.000 0.000 0.000
Ti 0.000 0.000 0.500
Ti 0.000 0.500 0.000
Ti 0.187 0.187 0.563
Ti 0.187 0.563 0.187
Ti 0.187 0.563 0.563
Ti 0.437 0.437 0.813
Ti 0.437 0.813 0.437
Ti 0.437 0.813 0.813
Ti 0.500 0.000 0.000
Ti 0.563 0.187 0.187
Ti 0.563 0.187 0.563
Ti 0.563 0.563 0.187
Ti 0.813 0.437 0.437
Ti 0.813 0.437 0.813
Ti 0.813 0.813 0.437
Co 0.151 0.783 0.783
Co 0.217 0.217 0.217
Co 0.217 0.217 0.849
Co 0.217 0.849 0.217
Co 0.783 0.151 0.783
Co 0.783 0.783 0.151
Co 0.783 0.783 0.783
Co 0.849 0.217 0.217